# Na6Hf2Zn6SiS11O48 (PBE, optimized geometry)
data_Na6Hf2Zn6SiS11O48
_chemical_formula_sum 'Na18 Hf6 Zn18 Si3 S33 O144'
_symmetry_space_group_name_H-M 'P 1'
_symmetry_Int_Tables_number 1
_symmetry_space_group_name_Hall 'P 1'
_cell_length_a 8.850
_cell_length_b 15.302
_cell_length_c 22.811
_cell_angle_alpha 89.89
_cell_angle_beta 89.77
_cell_angle_gamma 89.92
loop_
_atom_site_label
_atom_site_type_symbol
_atom_site_fract_x
_atom_site_fract_y
_atom_site_fract_z
_atom_site_occupancy
Na1 Na 0.000 0.000 0.000 1
Na2 Na 0.000 0.329 0.340 1
Na3 Na 0.317 0.682 0.748 1
Na4 Na 0.358 0.992 0.755 1
Na5 Na 0.364 0.330 0.090 1
Na6 Na 0.491 0.502 0.505 1
Na7 Na 0.492 0.502 0.003 1
Na8 Na 0.493 0.164 0.669 1
Na9 Na 0.494 0.163 0.174 1
Na10 Na 0.494 0.832 0.837 1
Na11 Na 0.500 0.829 0.340 1
Na12 Na 0.628 0.330 0.585 1
Na13 Na 0.676 0.343 0.918 1
Na14 Na 0.864 0.831 0.090 1
Na15 Na 0.991 0.664 0.662 1
Na16 Na 0.995 0.664 0.175 1
Na17 Na 0.995 0.996 0.501 1
Na18 Na 0.999 0.326 0.834 1
Hf1 Hf 0.000 0.330 0.192 1
Hf2 Hf 0.487 0.492 0.355 1
Hf3 Hf 0.500 0.830 0.191 1
Hf4 Hf 0.987 0.992 0.355 1
Hf5 Hf 0.991 0.666 0.817 1
Hf6 Hf 0.994 0.991 0.651 1
Zn1 Zn 0.002 0.994 0.852 1
Zn2 Zn 0.488 0.159 0.516 1
Zn3 Zn 0.488 0.169 0.318 1
Zn4 Zn 0.489 0.829 0.683 1
Zn5 Zn 0.490 0.833 0.984 1
Zn6 Zn 0.491 0.495 0.850 1
Zn7 Zn 0.493 0.498 0.650 1
Zn8 Zn 0.494 0.826 0.486 1
Zn9 Zn 0.495 0.494 0.158 1
Zn10 Zn 0.497 0.156 0.016 1
Zn11 Zn 0.498 0.164 0.821 1
Zn12 Zn 0.988 0.670 0.318 1
Zn13 Zn 0.994 0.330 0.684 1
Zn14 Zn 0.995 0.993 0.157 1
Zn15 Zn 0.996 0.662 0.518 1
Zn16 Zn 0.998 0.660 0.019 1
Zn17 Zn 0.999 0.326 0.986 1
Zn18 Zn 0.999 0.331 0.485 1
Si1 Si 0.145 0.850 0.754 1
Si2 Si 0.356 0.346 0.250 1
Si3 Si 0.855 0.846 0.249 1
S1 S 0.134 0.518 0.419 1
S2 S 0.138 0.144 0.753 1
S3 S 0.139 0.181 0.085 1
S4 S 0.139 0.477 0.084 1
S5 S 0.144 0.807 0.420 1
S6 S 0.202 0.164 0.419 1
S7 S 0.203 0.493 0.753 1
S8 S 0.203 0.829 0.084 1
S9 S 0.285 0.998 0.251 1
S10 S 0.286 0.329 0.586 1
S11 S 0.289 0.662 0.920 1
S12 S 0.346 0.309 0.920 1
S13 S 0.346 0.640 0.251 1
S14 S 0.347 0.016 0.919 1
S15 S 0.347 0.682 0.586 1
S16 S 0.352 0.977 0.585 1
S17 S 0.635 0.017 0.419 1
S18 S 0.638 0.681 0.084 1
S19 S 0.639 0.640 0.752 1
S20 S 0.639 0.977 0.084 1
S21 S 0.642 0.349 0.752 1
S22 S 0.645 0.307 0.420 1
S23 S 0.702 0.329 0.083 1
S24 S 0.702 0.996 0.754 1
S25 S 0.703 0.664 0.420 1
S26 S 0.782 0.827 0.585 1
S27 S 0.785 0.498 0.251 1
S28 S 0.788 0.161 0.919 1
S29 S 0.846 0.140 0.251 1
S30 S 0.846 0.810 0.922 1
S31 S 0.847 0.516 0.921 1
S32 S 0.848 0.184 0.585 1
S33 S 0.850 0.476 0.586 1
O1 O 0.065 0.894 0.696 1
O2 O 0.066 0.563 0.080 1
O3 O 0.070 0.751 0.760 1
O4 O 0.071 0.094 0.093 1
O5 O 0.071 0.106 0.806 1
O6 O 0.071 0.433 0.137 1
O7 O 0.071 0.771 0.473 1
O8 O 0.072 0.221 0.032 1
O9 O 0.072 0.232 0.744 1
O10 O 0.073 0.428 0.425 1
O11 O 0.073 0.558 0.365 1
O12 O 0.073 0.898 0.412 1
O13 O 0.102 0.242 0.426 1
O14 O 0.103 0.083 0.412 1
O15 O 0.103 0.417 0.746 1
O16 O 0.103 0.750 0.080 1
O17 O 0.104 0.908 0.089 1
O18 O 0.106 0.575 0.761 1
O19 O 0.110 0.086 0.700 1
O20 O 0.110 0.240 0.137 1
O21 O 0.114 0.420 0.032 1
O22 O 0.116 0.570 0.472 1
O23 O 0.118 0.755 0.367 1
O24 O 0.121 0.912 0.810 1
O25 O 0.166 0.341 0.245 1
O26 O 0.180 0.320 0.926 1
O27 O 0.180 0.673 0.580 1
O28 O 0.180 0.987 0.593 1
O29 O 0.181 0.009 0.915 1
O30 O 0.183 0.649 0.260 1
O31 O 0.189 0.983 0.305 1
O32 O 0.190 0.673 0.865 1
O33 O 0.192 0.648 0.971 1
O34 O 0.194 0.315 0.639 1
O35 O 0.195 0.012 0.199 1
O36 O 0.195 0.343 0.533 1
O37 O 0.291 0.147 0.473 1
O38 O 0.293 0.176 0.367 1
O39 O 0.294 0.481 0.806 1
O40 O 0.295 0.514 0.701 1
O41 O 0.298 0.840 0.032 1
O42 O 0.299 0.817 0.137 1
O43 O 0.305 0.484 0.090 1
O44 O 0.307 0.148 0.757 1
O45 O 0.307 0.178 0.080 1
O46 O 0.308 0.509 0.413 1
O47 O 0.309 0.820 0.426 1
O48 O 0.327 0.837 0.746 1
O49 O 0.371 0.733 0.641 1
O50 O 0.372 0.922 0.534 1
O51 O 0.374 0.255 0.867 1
O52 O 0.376 0.070 0.971 1
O53 O 0.376 0.590 0.198 1
O54 O 0.377 0.915 0.245 1
O55 O 0.381 0.411 0.307 1
O56 O 0.381 0.741 0.923 1
O57 O 0.384 0.583 0.912 1
O58 O 0.388 0.071 0.259 1
O59 O 0.388 0.407 0.592 1
O60 O 0.389 0.251 0.580 1
O61 O 0.413 0.939 0.640 1
O62 O 0.414 0.055 0.864 1
O63 O 0.416 0.723 0.534 1
O64 O 0.417 0.065 0.579 1
O65 O 0.417 0.271 0.974 1
O66 O 0.417 0.730 0.245 1
O67 O 0.418 0.388 0.189 1
O68 O 0.418 0.593 0.592 1
O69 O 0.420 0.928 0.925 1
O70 O 0.421 0.602 0.304 1
O71 O 0.422 0.397 0.913 1
O72 O 0.425 0.250 0.257 1
O73 O 0.566 0.063 0.080 1
O74 O 0.569 0.602 0.806 1
O75 O 0.570 0.261 0.759 1
O76 O 0.571 0.594 0.093 1
O77 O 0.571 0.933 0.138 1
O78 O 0.572 0.723 0.032 1
O79 O 0.573 0.058 0.366 1
O80 O 0.573 0.398 0.413 1
O81 O 0.573 0.928 0.425 1
O82 O 0.574 0.272 0.475 1
O83 O 0.574 0.389 0.699 1
O84 O 0.574 0.728 0.747 1
O85 O 0.601 0.075 0.757 1
O86 O 0.603 0.250 0.080 1
O87 O 0.603 0.583 0.412 1
O88 O 0.603 0.741 0.426 1
O89 O 0.604 0.408 0.089 1
O90 O 0.605 0.918 0.746 1
O91 O 0.610 0.739 0.137 1
O92 O 0.616 0.070 0.472 1
O93 O 0.616 0.255 0.368 1
O94 O 0.616 0.402 0.807 1
O95 O 0.616 0.919 0.033 1
O96 O 0.618 0.587 0.700 1
O97 O 0.666 0.840 0.245 1
O98 O 0.679 0.815 0.924 1
O99 O 0.680 0.175 0.579 1
O100 O 0.680 0.482 0.592 1
O101 O 0.680 0.505 0.913 1
O102 O 0.683 0.149 0.260 1
O103 O 0.689 0.482 0.305 1
O104 O 0.693 0.179 0.867 1
O105 O 0.693 0.816 0.640 1
O106 O 0.693 0.844 0.533 1
O107 O 0.695 0.512 0.198 1
O108 O 0.696 0.149 0.973 1
O109 O 0.793 0.647 0.473 1
O110 O 0.794 0.676 0.366 1
O111 O 0.794 0.984 0.806 1
O112 O 0.795 0.341 0.030 1
O113 O 0.799 0.010 0.700 1
O114 O 0.800 0.317 0.136 1
O115 O 0.805 0.984 0.090 1
O116 O 0.807 0.677 0.080 1
O117 O 0.808 0.009 0.413 1
O118 O 0.808 0.648 0.761 1
O119 O 0.809 0.340 0.746 1
O120 O 0.810 0.319 0.426 1
O121 O 0.871 0.238 0.638 1
O122 O 0.872 0.419 0.534 1
O123 O 0.874 0.570 0.972 1
O124 O 0.876 0.090 0.198 1
O125 O 0.877 0.414 0.245 1
O126 O 0.879 0.752 0.869 1
O127 O 0.880 0.911 0.307 1
O128 O 0.881 0.910 0.592 1
O129 O 0.882 0.244 0.925 1
O130 O 0.885 0.083 0.912 1
O131 O 0.885 0.751 0.580 1
O132 O 0.888 0.571 0.259 1
O133 O 0.913 0.769 0.974 1
O134 O 0.915 0.558 0.867 1
O135 O 0.915 0.896 0.914 1
O136 O 0.916 0.427 0.924 1
O137 O 0.916 0.436 0.639 1
O138 O 0.917 0.095 0.593 1
O139 O 0.917 0.222 0.532 1
O140 O 0.917 0.230 0.245 1
O141 O 0.917 0.564 0.579 1
O142 O 0.918 0.888 0.189 1
O143 O 0.921 0.102 0.305 1
O144 O 0.925 0.750 0.257 1
# - Theoretical density: 3.3 g/cm³
# - Calculated formation energy: -2.17 eV per atom